## MgFe6O6F6 (PBE+U)

Data for a relaxed MgFe6O6F6 crystal.

Cell and atoms, written as POSCAR:
```
MgFe6O6F6
1.0
2.766 3.584 2.590
0.975 4.265 -6.176
-5.244 2.177 1.444
Mg Fe O F
1 6 6 6
direct
0.507 0.170 0.167 Mg
0.968 0.671 0.716 Fe
0.378 0.978 0.537 Fe
0.580 0.359 0.752 Fe
0.022 0.962 0.014 Fe
0.014 0.353 0.322 Fe
0.539 0.662 0.155 Fe
0.124 0.892 0.688 O
0.676 0.409 0.125 O
0.361 0.911 0.202 O
0.346 0.228 0.476 O
0.872 0.438 0.602 O
0.807 0.742 0.992 O
0.323 0.578 0.855 F
0.854 0.103 0.302 F
0.650 0.760 0.499 F
0.619 0.083 0.839 F
0.213 0.568 0.317 F
0.160 0.233 0.023 F
```

Summary:
Energy above the lowest structure with this stoichiometry   0.020 eV/atom
Energy of formation   -2.123 eV/atom
Calculated volume   12.03 Å³/atom